[1]
Material: Be2NiRu
Method: DFT, PBE
State: relaxed

Lattice parameters (Å, degrees): 3.8299 3.8299 3.8299 60.00 60.00 60.00
Last column: nearest neighbours and their distance in Å.
Element x y z (fractional)
1 Be 0.7500 0.7500 0.7500  4 Ru 2.35, 4 Ni 2.35
2 Be 0.2500 0.2500 0.2500  4 Ni 2.35, 4 Ru 2.35
3 Ni 0.5000 0.5000 0.5000  8 Be 2.35
4 Ru 0.0000 0.0000 0.0000  8 Be 2.35

Results
The calculation puts the total energy at -5.9875 eV per atom. The crystal system is cubic. The symmetry is Fm-3m (225).

[2]
Material: BaMn2N2
Method: DFT, PBE
State: relaxed

Lattice parameters (Å, degrees): 3.3770 3.3770 6.8191 90.00 90.00 120.01
Last column: nearest neighbours and their distance in Å.
Element x y z (fractional)
1 Mn 0.3333 0.6667 0.8923  4 N 1.93-2.00
2 Mn 0.6667 0.3333 0.1077  4 N 1.93-2.00
3 N 0.6667 0.3333 0.8248  4 Mn 1.93-2.00
4 N 0.3333 0.6667 0.1752  4 Mn 1.93-2.00
5 Ba 0.0000 0.0000 0.5000  6 N 2.95

Results
The energy above the most stable polymorph in this dataset comes out at 25.6 meV/atom. The calculation puts the total energy at -7.6042 eV per atom. The crystal system is trigonal. The symmetry is P-3m1 (164).

[3]
Material: Mg7Si4
Method: DFT, PBE
State: relaxed

Lattice parameters (Å, degrees): 6.5319 4.3925 15.5932 97.84 83.39 90.57
Last column: nearest neighbours and their distance in Å.
Element x y z (fractional)
1 Mg 0.7037 0.3956 0.8614  3 Si 2.75-2.95
2 Mg 0.0774 0.3197 0.6989  5 Si 2.78-2.86, 1 Mg 3.09
3 Mg 0.7389 0.6804 0.4307  1 Si 2.82, 4 Mg 2.96-3.07
4 Mg 0.9045 0.9612 0.9889  2 Si 2.71
5 Mg 0.1795 0.4141 0.8932  4 Si 2.84-2.91, 5 Mg 3.04-3.15
6 Mg 0.1050 0.5273 0.1102  6 Si 2.82-3.08
7 Mg 0.5342 0.1301 0.3318  6 Si 2.86-2.92, 4 Mg 3.07-3.08
8 Mg 0.7257 0.7979 0.6542  4 Si 2.70-2.96
9 Mg 0.9567 0.2198 0.5110  2 Si 2.74, 2 Mg 2.96-2.97
10 Mg 0.4119 0.9576 0.9776  2 Si 2.79-2.82, 4 Mg 3.04-3.08
11 Mg 0.4410 0.2359 0.5426  3 Si 2.74-3.05
12 Mg 0.2455 0.6687 0.4145  2 Si 2.63-2.68
13 Mg 0.0500 0.1049 0.2947  6 Si 2.83-3.09
14 Mg 0.6224 0.5019 0.0736  6 Si 2.86-2.94, 4 Mg 3.05-3.08
15 Si 0.7584 0.5883 0.2472  3 Si 2.55-2.56, 1 Mg 2.82
16 Si 0.7844 0.0469 0.1626  3 Si 2.55, 2 Mg 2.71-2.83
17 Si 0.3823 0.8633 0.7969  3 Si 2.51-2.61
18 Si 0.4971 0.3284 0.7158  2 Si 2.59-2.61, 5 Mg 2.74-2.78
19 Si 0.3674 0.5826 0.2430  3 Si 2.53-2.56, 2 Mg 2.68-2.82
20 Si 0.3951 0.0462 0.1589  3 Si 2.53-2.56, 1 Mg 2.79
21 Si 0.9960 0.8766 0.8134  1 Si 2.51, 1 Mg 2.71
22 Si 0.1230 0.7562 0.5827  6 Mg 2.63-2.86

Results
The energy above the most stable polymorph in this dataset comes out at 51.8 meV/atom. The calculation puts the total energy at -2.9153 eV per atom. The crystal system is triclinic. The symmetry is P1 (1).

[4]
Material: K4Au6S5
Method: DFT, PBE
State: relaxed

Lattice parameters (Å, degrees): 9.8371 9.8371 10.1361 90.00 90.00 120.00
Last column: nearest neighbours and their distance in Å.
Element x y z (fractional)
1 S 0.7746 0.7401 0.7500  2 Au 2.33
2 S 0.3333 0.6667 0.9544  3 Au 2.36
3 S 0.2599 0.0344 0.7500  2 Au 2.33
4 S 0.2254 0.9656 0.2500  2 Au 2.33
5 S 0.0344 0.2599 0.2500  2 Au 2.33
6 S 0.7401 0.7746 0.2500  2 Au 2.33
7 S 0.3333 0.6667 0.5456  3 Au 2.36
8 S 0.6667 0.3333 0.4544  3 Au 2.36
9 S 0.9656 0.2254 0.7500  2 Au 2.33
10 S 0.6667 0.3333 0.0456  3 Au 2.36
11 K 0.0722 0.6548 0.7500  4 S 3.23-3.43, 4 Au 3.51-3.61
12 K 0.5826 0.9278 0.7500  4 S 3.23-3.43, 4 Au 3.51-3.61
13 K 0.6548 0.0722 0.2500  4 S 3.23-3.43, 4 Au 3.51-3.61
14 K 0.0000 0.0000 0.5000  6 S 3.49
15 K 0.9278 0.5826 0.2500  4 S 3.23-3.43, 4 Au 3.51-3.61
16 K 0.4174 0.3452 0.2500  4 S 3.23-3.43, 4 Au 3.51-3.61
17 K 0.3452 0.4174 0.7500  4 S 3.23-3.43, 4 Au 3.51-3.61
18 K 0.0000 0.0000 0.0000  6 S 3.49
19 Au 0.1673 0.4501 0.0885  2 S 2.33-2.36
20 Au 0.2827 0.8327 0.4115  2 S 2.33-2.36
21 Au 0.7173 0.5499 0.5885  2 S 2.33-2.36
22 Au 0.4501 0.1673 0.5885  2 S 2.33-2.36
23 Au 0.8327 0.2827 0.5885  2 S 2.33-2.36
24 Au 0.5499 0.7173 0.4115  2 S 2.33-2.36
25 Au 0.5499 0.7173 0.0885  2 S 2.33-2.36
26 Au 0.4501 0.1673 0.9115  2 S 2.33-2.36
27 Au 0.2827 0.8327 0.0885  2 S 2.33-2.36
28 Au 0.8327 0.2827 0.9115  2 S 2.33-2.36
29 Au 0.1673 0.4501 0.4115  2 S 2.33-2.36
30 Au 0.7173 0.5499 0.9115  2 S 2.33-2.36

Results
The calculation puts the total energy at -3.6313 eV per atom. The crystal system is hexagonal. The symmetry is P-62c (190).

Number 1: formation energy -354 meV per atom. Number 2: formation energy -365 meV per atom. Number 3: formation energy 102 meV per atom. Number 4: formation energy -814 meV per atom.